# CrB2Pb6O12

A relaxed CrB2Pb6O12 crystal (GGA+U, Materials Project).

## Properties
space group = Pnma
magnetic moment = 0.00 μB per formula unit

Cell lengths 6.573, 11.949, 18.609 Å; angles 90.00, 90.00, 90.00 degrees
Positions (direct):
Pb: 0.141 0.750 0.203
Pb: 0.207 0.406 0.107
Pb: 0.641 0.750 0.297
Pb: 0.707 0.094 0.393
Pb: 0.187 0.594 0.392
Pb: 0.687 0.906 0.108
Pb: 0.813 0.406 0.608
Pb: 0.313 0.406 0.892
Pb: 0.707 0.406 0.393
Pb: 0.793 0.906 0.893
Pb: 0.207 0.094 0.107
Pb: 0.261 0.250 0.291
Pb: 0.313 0.094 0.892
Pb: 0.859 0.250 0.797
Pb: 0.293 0.906 0.607
Pb: 0.239 0.750 0.791
Pb: 0.761 0.250 0.209
Pb: 0.793 0.594 0.893
Pb: 0.687 0.594 0.108
Pb: 0.187 0.906 0.392
Pb: 0.739 0.750 0.709
Pb: 0.359 0.250 0.703
Pb: 0.293 0.594 0.607
Pb: 0.813 0.094 0.608
O: 0.515 0.598 0.217
O: 0.680 0.250 0.650
O: 0.386 0.136 0.488
O: 0.985 0.098 0.717
O: 0.614 0.864 0.512
O: 0.114 0.636 0.988
O: 0.378 0.750 0.076
O: 0.485 0.402 0.783
O: 0.515 0.902 0.217
O: 0.098 0.250 0.159
O: 0.015 0.598 0.283
O: 0.485 0.098 0.783
O: 0.614 0.636 0.512
O: 0.041 0.495 0.829
O: 0.820 0.750 0.150
O: 0.015 0.902 0.283
O: 0.886 0.136 0.012
O: 0.320 0.750 0.350
O: 0.598 0.250 0.341
O: 0.180 0.250 0.850
O: 0.065 0.250 0.431
O: 0.541 0.495 0.671
O: 0.878 0.750 0.424
O: 0.959 0.995 0.171
O: 0.886 0.364 0.012
O: 0.541 0.005 0.671
O: 0.114 0.864 0.988
O: 0.897 0.094 0.282
O: 0.397 0.094 0.218
O: 0.959 0.505 0.171
O: 0.902 0.750 0.841
O: 0.397 0.406 0.218
O: 0.435 0.750 0.931
O: 0.402 0.750 0.659
O: 0.985 0.402 0.717
O: 0.603 0.906 0.782
O: 0.122 0.250 0.576
O: 0.386 0.364 0.488
O: 0.103 0.594 0.718
O: 0.103 0.906 0.718
O: 0.622 0.250 0.924
O: 0.459 0.505 0.329
O: 0.935 0.750 0.569
O: 0.603 0.594 0.782
O: 0.041 0.005 0.829
O: 0.897 0.406 0.282
O: 0.565 0.250 0.069
O: 0.459 0.995 0.329
B: 0.957 0.998 0.246
B: 0.543 0.498 0.746
B: 0.043 0.498 0.754
B: 0.043 0.002 0.754
B: 0.543 0.002 0.746
B: 0.957 0.502 0.246
B: 0.457 0.502 0.254
B: 0.457 0.998 0.254
Cr: 0.258 0.750 0.995
Cr: 0.742 0.250 0.005
Cr: 0.242 0.250 0.495
Cr: 0.758 0.750 0.505

# Co3P4O16

A relaxed Co3P4O16 crystal (GGA+U, Materials Project).

## Properties
space group = P2_1
magnetic moment = 5.00 μB per formula unit

Cell lengths 7.519, 8.647, 9.174 Å; angles 67.89, 90.00, 90.00 degrees
Positions (direct):
O: 0.152 0.173 0.117
O: 0.186 0.464 0.901
O: 0.652 0.827 0.883
O: 0.201 0.958 0.397
O: 0.323 0.470 0.408
O: 0.146 0.678 0.606
O: 0.686 0.536 0.099
O: 0.131 0.356 0.664
O: 0.608 0.147 0.850
O: 0.864 0.816 0.393
O: 0.430 0.948 0.156
O: 0.867 0.322 0.884
O: 0.361 0.346 0.169
O: 0.794 0.051 0.097
O: 0.530 0.548 0.861
O: 0.294 0.949 0.903
O: 0.646 0.322 0.394
O: 0.108 0.853 0.150
O: 0.464 0.454 0.645
O: 0.566 0.047 0.358
O: 0.823 0.530 0.592
O: 0.364 0.184 0.607
O: 0.030 0.452 0.139
O: 0.964 0.546 0.355
O: 0.386 0.861 0.653
O: 0.631 0.644 0.336
O: 0.701 0.042 0.603
O: 0.886 0.139 0.347
O: 0.066 0.953 0.642
O: 0.861 0.654 0.831
O: 0.930 0.052 0.844
O: 0.367 0.678 0.116
P: 0.316 0.364 0.590
P: 0.700 0.143 0.419
P: 0.200 0.857 0.581
P: 0.673 0.630 0.920
P: 0.816 0.636 0.410
P: 0.173 0.370 0.080
P: 0.300 0.856 0.086
P: 0.800 0.144 0.914
Co: 0.369 0.106 0.236
Co: 0.006 0.499 0.742
Co: 0.486 0.004 0.755
Co: 0.986 0.996 0.245
Co: 0.506 0.501 0.258
Co: 0.869 0.894 0.764

# BaVSi2O7

A relaxed BaVSi2O7 crystal (GGA+U, Materials Project).

## Properties
magnetic moment = 0.00 μB per formula unit

Cell lengths 7.715, 7.715, 10.134 Å; angles 90.00, 90.00, 82.11 degrees
Positions (direct):
O: 0.928 0.308 0.512
O: 0.572 0.192 0.988
O: 0.308 0.928 0.488
O: 0.808 0.428 0.988
O: 0.201 0.201 0.000
O: 0.631 0.369 0.640
O: 0.394 0.370 0.190
O: 0.630 0.606 0.190
O: 0.360 0.640 0.631
O: 0.130 0.106 0.690
O: 0.106 0.130 0.310
O: 0.692 0.072 0.512
O: 0.072 0.692 0.488
O: 0.369 0.631 0.360
O: 0.701 0.701 0.500
O: 0.870 0.894 0.310
O: 0.869 0.131 0.860
O: 0.370 0.394 0.810
O: 0.894 0.870 0.690
O: 0.606 0.630 0.810
O: 0.131 0.869 0.140
O: 0.860 0.140 0.131
O: 0.140 0.860 0.869
O: 0.799 0.799 0.000
O: 0.299 0.299 0.500
O: 0.192 0.572 0.012
O: 0.640 0.360 0.369
O: 0.428 0.808 0.012
Si: 0.008 0.992 0.776
Si: 0.492 0.508 0.724
Si: 0.508 0.492 0.276
Si: 0.992 0.008 0.224
Si: 0.224 0.776 0.008
Si: 0.776 0.224 0.992
Si: 0.276 0.724 0.492
Si: 0.724 0.276 0.508
V: 0.842 0.842 0.500
V: 0.342 0.342 0.000
V: 0.158 0.158 0.500
V: 0.658 0.658 0.000
Ba: 0.000 0.500 0.250
Ba: 0.000 0.500 0.750
Ba: 0.500 0.000 0.250
Ba: 0.500 0.000 0.750

# Co5P4H10O20

A relaxed Co5P4H10O20 crystal (GGA+U, Materials Project).

## Properties
space group = C2/c
magnetic moment = 15.00 μB per formula unit

Cell lengths 9.810, 9.810, 9.412 Å; angles 84.04, 84.04, 54.60 degrees
Positions (direct):
O: 0.427 0.169 0.217
O: 0.687 0.832 0.469
O: 0.573 0.831 0.783
O: 0.931 0.383 0.870
O: 0.224 0.798 0.424
O: 0.831 0.573 0.283
O: 0.798 0.224 0.924
O: 0.776 0.202 0.576
O: 0.897 0.432 0.534
O: 0.354 0.490 0.212
O: 0.169 0.427 0.717
O: 0.568 0.103 0.966
O: 0.917 0.919 0.344
O: 0.832 0.687 0.969
O: 0.109 0.298 0.326
O: 0.308 0.841 0.840
O: 0.159 0.692 0.660
O: 0.919 0.917 0.844
O: 0.069 0.617 0.130
O: 0.081 0.083 0.156
O: 0.617 0.069 0.630
O: 0.646 0.510 0.788
O: 0.481 0.686 0.558
O: 0.103 0.568 0.466
O: 0.510 0.646 0.288
O: 0.702 0.891 0.174
O: 0.490 0.354 0.712
O: 0.432 0.897 0.034
O: 0.383 0.931 0.370
O: 0.083 0.081 0.656
O: 0.298 0.109 0.826
O: 0.841 0.308 0.340
O: 0.314 0.519 0.942
O: 0.891 0.702 0.674
O: 0.519 0.314 0.442
O: 0.686 0.481 0.058
O: 0.313 0.168 0.531
O: 0.168 0.313 0.031
O: 0.202 0.776 0.076
O: 0.692 0.159 0.160
Co: 0.652 0.698 0.130
Co: 0.403 0.597 0.750
Co: 0.597 0.403 0.250
Co: 0.302 0.348 0.370
Co: 0.901 0.729 0.312
Co: 0.698 0.652 0.630
Co: 0.729 0.901 0.812
Co: 0.348 0.302 0.870
Co: 0.271 0.099 0.188
Co: 0.099 0.271 0.688
H: 0.754 0.198 0.020
H: 0.924 0.672 0.022
H: 0.413 0.118 0.589
H: 0.017 0.847 0.776
H: 0.103 0.972 0.145
H: 0.246 0.802 0.980
H: 0.882 0.587 0.911
H: 0.972 0.103 0.645
H: 0.076 0.328 0.978
H: 0.847 0.017 0.276
H: 0.198 0.754 0.520
H: 0.983 0.153 0.224
H: 0.153 0.983 0.724
H: 0.672 0.924 0.522
H: 0.328 0.076 0.478
H: 0.897 0.028 0.855
H: 0.028 0.897 0.355
H: 0.118 0.413 0.089
H: 0.802 0.246 0.480
H: 0.587 0.882 0.411
P: 0.402 0.921 0.871
P: 0.763 0.404 0.911
P: 0.921 0.402 0.371
P: 0.598 0.079 0.129
P: 0.237 0.596 0.089
P: 0.404 0.763 0.411
P: 0.596 0.237 0.589
P: 0.079 0.598 0.629

# Na2CoAgF6

A relaxed Na2CoAgF6 crystal (GGA+U, Materials Project).

## Properties
space group = Fm-3m
magnetic moment = 0.00 μB per formula unit

Cell lengths 5.976, 5.976, 5.976 Å; angles 60.00, 60.00, 60.00 degrees
Positions (direct):
Co: 0.000 0.000 0.000
F: 0.770 0.230 0.230
F: 0.770 0.230 0.770
F: 0.770 0.770 0.230
F: 0.230 0.770 0.770
F: 0.230 0.230 0.770
F: 0.230 0.770 0.230
Na: 0.750 0.750 0.750
Na: 0.250 0.250 0.250
Ag: 0.500 0.500 0.500

# Li2Ti2VO6

A relaxed Li2Ti2VO6 crystal (GGA+U, Materials Project).

## Properties
space group = P-1
magnetic moment = 3.00 μB per formula unit

Cell lengths 6.710, 6.766, 8.522 Å; angles 71.06, 70.76, 83.07 degrees
Positions (direct):
O: 0.652 0.648 0.905
O: 0.982 0.001 0.247
O: 0.345 0.694 0.753
O: 0.352 0.020 0.421
O: 0.655 0.306 0.247
O: 0.324 0.650 0.243
O: 0.029 0.667 0.076
O: 0.663 0.025 0.089
O: 0.337 0.975 0.911
O: 0.982 0.655 0.590
O: 0.971 0.333 0.924
O: 0.018 0.345 0.410
O: 0.648 0.980 0.579
O: 0.676 0.350 0.757
O: 0.340 0.317 0.567
O: 0.348 0.352 0.095
O: 0.018 0.999 0.753
O: 0.660 0.683 0.433
Li: 0.003 0.664 0.834
Li: 0.327 0.672 0.504
Li: 0.328 0.002 0.170
Li: 0.997 0.336 0.166
Li: 0.672 0.998 0.830
Li: 0.673 0.328 0.496
V: 0.007 0.328 0.666
V: 0.993 0.672 0.334
V: 0.000 0.000 0.000
Ti: 0.324 0.668 0.004
Ti: 0.676 0.332 0.996
Ti: 0.317 0.336 0.339
Ti: 0.683 0.664 0.661
Ti: 0.681 0.995 0.327
Ti: 0.319 0.005 0.673

# Bi17W3O34

A relaxed Bi17W3O34 crystal (GGA+U, Materials Project).

## Properties
space group = P1
magnetic moment = 1.00 μB per formula unit

Cell lengths 10.512, 10.699, 10.507 Å; angles 107.89, 106.13, 115.53 degrees
Positions (direct):
O: 0.806 0.875 0.165
O: 0.493 0.433 0.031
O: 0.298 0.922 0.695
O: 0.742 0.294 0.711
O: 0.134 0.318 0.939
O: 0.920 0.226 0.594
O: 0.344 0.163 0.073
O: 0.699 0.315 0.461
O: 0.726 0.925 0.932
O: 0.652 0.051 0.310
O: 0.278 0.776 0.049
O: 0.941 0.349 0.309
O: 0.964 0.925 0.870
O: 0.223 0.277 0.489
O: 0.065 0.887 0.121
O: 0.517 0.478 0.496
O: 0.970 0.983 0.480
O: 0.783 0.525 0.363
O: 0.077 0.626 0.697
O: 0.445 0.050 0.442
O: 0.204 0.130 0.795
O: 0.654 0.977 0.553
O: 0.764 0.762 0.520
O: 0.717 0.241 0.981
O: 0.468 0.302 0.727
O: 0.380 0.677 0.619
O: 0.214 0.594 0.298
O: 0.554 0.713 0.248
O: 0.038 0.132 0.170
O: 0.322 0.545 0.845
O: 0.751 0.664 0.880
O: 0.991 0.521 0.025
O: 0.474 0.949 0.961
O: 0.314 0.385 0.207
Bi: 0.560 0.970 0.800
Bi: 0.079 0.469 0.809
Bi: 0.292 0.216 0.300
Bi: 0.140 0.634 0.502
Bi: 0.174 0.767 0.206
Bi: 0.017 0.345 0.113
Bi: 0.435 0.504 0.696
Bi: 0.774 0.572 0.578
Bi: 0.778 0.724 0.294
Bi: 0.688 0.270 0.233
Bi: 0.718 0.413 0.907
Bi: 0.472 0.650 0.410
Bi: 0.229 0.885 0.889
Bi: 0.910 0.029 0.669
Bi: 0.254 0.066 0.595
Bi: 0.947 0.138 0.363
Bi: 0.514 0.798 0.075
W: 0.884 0.883 0.997
W: 0.657 0.136 0.506
W: 0.305 0.290 0.002

# Zr6Ni2O

A relaxed Zr6Ni2O crystal (GGA+U, Materials Project).

## Properties
space group = C2/m
magnetic moment = 0.01 μB per formula unit

Cell lengths 5.672, 5.672, 9.010 Å; angles 88.80, 88.80, 33.93 degrees
Positions (direct):
Zr: 0.928 0.928 0.747
Zr: 0.365 0.365 0.057
Zr: 0.072 0.072 0.253
Zr: 0.366 0.366 0.441
Zr: 0.634 0.634 0.559
Zr: 0.635 0.635 0.943
O: 0.000 0.000 0.500
Ni: 0.237 0.237 0.749
Ni: 0.763 0.763 0.251

Number 1: formation energy from the elements -1.922 eV per atom. Number 2: formation energy from the elements -1.871 eV per atom. Number 3: formation energy from the elements -3.111 eV per atom. Number 4: formation energy from the elements -1.841 eV per atom. Number 5: formation energy from the elements -2.193 eV per atom. Number 6: formation energy from the elements -2.926 eV per atom. Number 7: formation energy from the elements -1.738 eV per atom. Number 8: formation energy from the elements -0.397 eV per atom.